No. 1
Li4FeB2O6 | GGA+U | relaxed

Computed properties:
- VASP energy: -168.89 eV for the cell shown
- ΔE_f: -2436 meV per atom
- Polymorph energy (0 for the lowest one): 0.0001 eV per atom

abc: 3.3290 7.9562 9.3497
angles: 89.94 89.72 89.12
Closest atoms and distances in Å follow each position.
Space group P1 (No. 1)
Unique sites:
1 Li 0.0000 0.0000 0.0000  4 O 1.93-2.13
2 Li 0.0013 0.6725 0.6468  4 O 1.90-2.00
3 Li 0.4936 0.1679 0.1461  4 O 1.90-2.00
4 Li 0.4967 0.8405 0.5001  4 O 1.94-2.13
5 Li 0.5014 0.4995 0.3859  4 O 1.93-2.13
6 Li 0.5045 0.1723 0.7391  4 O 1.90-2.00
7 Li 0.9971 0.6676 0.2395  4 O 1.90-2.00
8 Li 0.9985 0.3404 0.8855  4 O 1.93-2.13
9 Fe 0.4998 0.6706 0.9432  4 O 2.12-2.22
10 Fe 0.9991 0.1705 0.4425  4 O 2.10-2.26
11 B 0.0065 0.9341 0.7437  3 O 1.37-1.43
12 B 0.4883 0.9060 0.2433  3 O 1.37-1.43
13 B 0.5101 0.4343 0.6423  3 O 1.37-1.43
14 B 0.9924 0.4064 0.1421  3 O 1.37-1.43
15 O 0.0067 0.4233 0.2898  1 B 1.39
16 O 0.0078 0.0885 0.8075  1 B 1.37
17 O 0.0171 0.7869 0.8312  1 B 1.43
18 O 0.4746 0.0532 0.3303  1 B 1.43
19 O 0.4924 0.7517 0.3075  1 B 1.37
20 O 0.4975 0.4165 0.7900  1 B 1.39
21 O 0.5013 0.9234 0.0956  1 B 1.39
22 O 0.5060 0.5887 0.5782  1 B 1.37
23 O 0.5235 0.2873 0.5549  1 B 1.43
24 O 0.9833 0.5538 0.0550  1 B 1.43
25 O 0.9903 0.2520 0.0781  1 B 1.37
26 O 0.9915 0.9167 0.5961  1 B 1.39

---

No. 2
W3O8 | GGA+U | relaxed

Computed properties:
- VASP energy: -81.66 eV for the cell shown
- ΔE_f: -2001 meV per atom
- Polymorph energy (0 for the lowest one): 0.1388 eV per atom

abc: 5.1677 5.4544 6.9530
angles: 108.37 94.22 104.67
Closest atoms and distances in Å follow each position.
Space group P-1 (No. 2)
Unique sites:
1 W 0.0000 0.0000 0.0000  6 O 2.05-2.14
2 W 0.2592 0.4683 0.8132  3 O 1.73-1.92
3 O 0.0753 0.7704 0.1695  2 W 1.92-2.05
4 O 0.1334 0.7411 0.7729  2 W 1.86-2.05
5 O 0.3316 0.2988 0.5779  1 W 1.73
6 O 0.3765 0.2964 0.0263  3 W 2.00-2.14

---

No. 3
Li3CoSiBO7 | GGA+U | relaxed

Computed properties:
- VASP energy: -333.60 eV for the cell shown
- ΔE_f: -2329 meV per atom
- Polymorph energy (0 for the lowest one): 0.0264 eV per atom

abc: 5.0257 6.2318 16.8182
angles: 90.00 94.37 90.00
Closest atoms and distances in Å follow each position.
Space group Pm (No. 6)
Unique sites:
1 Li 0.0000 0.0000 0.0000  4 O 1.93-2.10
2 Li 0.0088 0.2526 0.3192  4 O 2.02-2.20
3 Li 0.0093 0.2543 0.8218  4 O 2.00-2.23
4 Li 0.5039 0.2441 0.5687  4 O 1.99-2.23
5 Li 0.5036 0.2490 0.0706  4 O 2.01-2.23
6 Li 0.5134 0.5000 0.3918  4 O 1.92-2.10
7 Li 0.5249 0.5000 0.8931  4 O 1.97-2.13
8 Li 0.9876 0.0000 0.4962  4 O 2.02-2.13
9 Co 0.5564 0.0000 0.2867  6 O 1.87-1.98
10 Co 0.5648 0.0000 0.7826  5 O 1.86-2.00
11 Co 0.9479 0.5000 0.6079  5 O 1.85-2.00
12 Co 0.9567 0.5000 0.1066  6 O 1.90-2.13
13 Si 0.0340 0.0000 0.6585  4 O 1.63-1.65
14 Si 0.0362 0.0000 0.1608  4 O 1.62-1.65
15 Si 0.4785 0.5000 0.2324  4 O 1.63-1.66
16 Si 0.4793 0.5000 0.7317  4 O 1.63-1.65
17 B 0.0234 0.5000 0.4649  3 O 1.35-1.43
18 B 0.0411 0.5000 0.9660  3 O 1.35-1.42
19 B 0.4639 0.0000 0.4225  3 O 1.34-1.41
20 B 0.4907 0.0000 0.9261  3 O 1.35-1.43
21 O 0.1192 0.5000 0.3922  1 B 1.35
22 O 0.1270 0.5000 0.8920  1 B 1.35
23 O 0.1533 0.5000 0.2138  1 Si 1.64
24 O 0.1567 0.5000 0.7137  1 Si 1.63
25 O 0.2070 0.5000 0.5344  1 B 1.43
26 O 0.2283 0.5000 0.0334  1 B 1.42
27 O 0.2800 0.0000 0.3551  1 B 1.41
28 O 0.3071 0.0000 0.8566  1 B 1.43
29 O 0.3567 0.0000 0.6764  1 Si 1.63
30 O 0.3622 0.0000 0.1821  1 Si 1.65
31 O 0.3894 0.0000 0.4975  1 B 1.34
32 O 0.3950 0.0000 0.9990  1 B 1.35
33 O 0.5777 0.3021 0.2938  1 Si 1.66
34 O 0.5912 0.3065 0.7924  1 Si 1.65
35 O 0.6099 0.5000 0.6450  1 Si 1.64
36 O 0.6135 0.5000 0.1472  1 Si 1.63
37 O 0.7217 0.0000 0.3974  1 B 1.39
38 O 0.7506 0.0000 0.9070  1 B 1.37
39 O 0.7634 0.5000 0.4841  1 B 1.37
40 O 0.7820 0.5000 0.9875  1 B 1.38
41 O 0.8926 0.0000 0.2441  1 Si 1.62
42 O 0.9038 0.0000 0.7454  1 Si 1.65
43 O 0.9223 0.1933 0.5977  1 Si 1.65
44 O 0.9404 0.1961 0.0987  1 Si 1.65

---

No. 4
MgCu2Ni2O8 | GGA+U | relaxed

Computed properties:
- VASP energy: -249.84 eV for the cell shown
- ΔE_f: -930 meV per atom

abc: 6.3552 8.2716 11.8362
angles: 90.00 90.95 90.00
Closest atoms and distances in Å follow each position.
Space group P2_1/c (No. 14)
Unique sites:
1 Mg 0.1142 0.1576 0.0423  6 O 2.03-2.14
2 Cu 0.2455 0.6893 0.6235  4 O 1.81-1.99
3 Cu 0.3796 0.0619 0.6259  4 O 1.84-1.89
4 Ni 0.0978 0.0354 0.3388  4 O 1.79-1.85
5 Ni 0.3870 0.5892 0.3647  4 O 1.83-1.88
6 O 0.0248 0.2365 0.3943  1 Cu 1.83, 1 Ni 1.85, 1 Mg 2.03
7 O 0.0971 0.1156 0.6184  1 Ni 1.84, 1 Cu 1.85
8 O 0.1367 0.0282 0.1891  1 Ni 1.79
9 O 0.1921 0.5762 0.4777  1 Ni 1.84, 1 Cu 1.99
10 O 0.3178 0.6241 0.2114  1 Ni 1.88, 2 Cu 1.89-1.91
11 O 0.3462 0.5160 0.9113  1 Ni 1.83, 1 Cu 1.84
12 O 0.4155 0.2291 0.0771  1 Ni 1.83, 1 Cu 1.84, 1 Mg 2.04
13 O 0.4870 0.1179 0.8560  1 Cu 1.81, 1 Ni 1.83

---

No. 5
V2ZnO6 | GGA+U | relaxed

Computed properties:
- VASP energy: -121.03 eV for the cell shown
- ΔE_f: -2103 meV per atom

abc: 4.9293 5.2073 9.4539
angles: 90.00 121.29 90.00
Closest atoms and distances in Å follow each position.
Space group Pc (No. 7)
Unique sites:
1 V 0.0000 0.2342 0.0000  3 O 1.68-1.86
2 V 0.4409 0.2498 0.4727  3 O 1.70-1.81
3 Zn 0.1775 0.2924 0.7243  4 O 2.01-2.10
4 O 0.1240 0.4840 0.3901  1 V 1.81
5 O 0.2035 0.0329 0.8938  1 V 1.78
6 O 0.3007 0.2785 0.1948  1 V 1.68
7 O 0.5191 0.2393 0.6706  1 V 1.70
8 O 0.7110 0.4508 0.9829  1 V 1.76
9 O 0.8377 0.0766 0.5222  2 V 1.86-1.98

---

No. 6
HoCoB5O10 | GGA+U | relaxed

Computed properties:
- VASP energy: -539.79 eV for the cell shown
- ΔE_f: -2876 meV per atom

abc: 8.5958 7.6582 12.3302
angles: 90.00 130.22 90.00
Closest atoms and distances in Å follow each position.
Space group P2_1/c (No. 14)
Unique sites:
1 Ho 0.0594 0.1854 0.2438  6 O 2.25-2.47
2 Co 0.4708 0.5974 0.8697  5 O 2.06-2.19
3 B 0.0833 0.6757 0.6013  4 O 1.47-1.50
4 B 0.1511 0.6031 0.9885  3 O 1.35-1.40
5 B 0.2807 0.0322 0.0579  4 O 1.47-1.51
6 B 0.3350 0.5723 0.2509  4 O 1.47-1.50
7 B 0.4757 0.1873 0.9102  3 O 1.37-1.38
8 O 0.0255 0.7332 0.9752  2 B 1.40-1.47
9 O 0.0992 0.1115 0.9227  2 B 1.48-1.49
10 O 0.1134 0.5568 0.8678  1 B 1.35
11 O 0.1859 0.7022 0.2237  2 B 1.48-1.49
12 O 0.2325 0.5303 0.6493  2 B 1.50-1.51
13 O 0.3041 0.5316 0.1191  2 B 1.37-1.50
14 O 0.3108 0.0936 0.7984  2 B 1.38-1.47
15 O 0.3305 0.6234 0.5102  2 B 1.37-1.51
16 O 0.4199 0.1530 0.4285  1 B 1.38
17 O 0.4598 0.1476 0.1427  2 B 1.47-1.48

---

No. 7
MgMn3NiO8 | GGA+U | relaxed

Computed properties:
- VASP energy: -85.29 eV for the cell shown
- ΔE_f: -1837 meV per atom
- Polymorph energy (0 for the lowest one): 0.0720 eV per atom

abc: 5.7454 5.8318 5.8522
angles: 118.92 116.35 91.65
Closest atoms and distances in Å follow each position.
Space group P-1 (No. 2)
Unique sites:
1 Mg 0.0000 0.0000 0.0000  6 O 2.06-2.16
2 Mn 0.0000 0.0000 0.5000  6 O 1.92-1.97
3 Mn 0.0000 0.5000 0.5000  6 O 1.93-1.95
4 Mn 0.5000 0.5000 0.0000  4 O 1.95-2.02
5 Ni 0.0000 0.5000 0.0000  6 O 1.92-2.09
6 O 0.1953 0.7248 0.4398  1 Ni 1.92, 2 Mn 1.95-1.97
7 O 0.2040 0.2414 0.4703  2 Mn 1.93, 1 Mg 2.06
8 O 0.2198 0.7010 0.9450  1 Ni 1.93, 2 Mn 1.95-2.02
9 O 0.2310 0.2304 0.9394  2 Mn 1.92-1.95, 1 Ni 2.09, 1 Mg 2.11

---

No. 8
SrCa7Mn6Al2O23 | GGA+U | relaxed

Computed properties:
- VASP energy: -537.17 eV for the cell shown
- ΔE_f: -2626 meV per atom
- Polymorph energy (0 for the lowest one): 0.0412 eV per atom

abc: 7.6966 10.6812 10.6803
angles: 90.00 90.00 90.00
Closest atoms and distances in Å follow each position.
Space group Amm2 (No. 38)
Unique sites:
1 Sr 0.0000 0.0000 0.0000  11 O 2.64-2.74
2 Ca 0.0000 0.0000 0.4895  11 O 2.56-2.68
3 Ca 0.0000 0.2424 0.2475  11 O 2.59-2.71
4 Ca 0.5000 0.0000 0.0051  12 O 2.59-2.87
5 Ca 0.5000 0.0000 0.4880  8 O 2.57-2.73
6 Ca 0.5000 0.2419 0.2472  12 O 2.58-2.89
7 Mn 0.2458 0.2489 0.4968  6 O 1.88-1.96
8 Mn 0.2502 0.0000 0.2471  6 O 1.88-1.93
9 Al 0.2750 0.0000 0.7457  5 O 1.73-1.86
10 O 0.0000 0.0000 0.2501  2 Mn 1.93
11 O 0.0000 0.2478 0.4943  2 Mn 1.89
12 O 0.2249 0.1200 0.6249  1 Al 1.86, 1 Mn 1.95
13 O 0.2314 0.1229 0.8656  1 Al 1.86, 1 Mn 1.96
14 O 0.2542 0.1243 0.3720  2 Mn 1.88
15 O 0.2572 0.1272 0.1234  2 Mn 1.89-1.90
16 O 0.5000 0.0000 0.2477  2 Mn 1.92
17 O 0.5000 0.0000 0.7436  2 Al 1.73
18 O 0.5000 0.2478 0.4966  2 Mn 1.96